VASP calculation (PBE) on an optimized crystal structure of NdAl2Au2.

Calculated values
Energy   -45.086 eV per cell
Formation energy   -747 meV/atom
Crystal system   tetragonal

a b c (Å): 4.4632 4.4632 10.3817
angles (deg): 90.00 90.00 90.00
Space group P4/nmm (No. 129, origin choice 2)
Inequivalent atoms, fractional coordinates:
Nd: 0.2500 0.2500 0.2486 x2
Al: 0.2500 0.2500 0.8713 x2
Al: 0.2500 0.7500 0.5000 x2
Au: 0.2500 0.2500 0.6299 x2
Au: 0.2500 0.7500 0.0000 x2